1.
Computed, not measured: ThNF after structural relaxation at the r²SCAN level of DFT.

Properties
VASP energy = -2.33226 Ry/atom
ΔE_f = -3155 meV per atom

Cell lengths 7.152, 7.152, 7.152 Å; angles 32.55, 32.55, 32.55 degrees
Fractional positions:
F (0.132, 0.132, 0.132)
F (0.868, 0.868, 0.868)
N (0.378, 0.378, 0.378)
N (0.622, 0.622, 0.622)
Th (0.739, 0.739, 0.739)
Th (0.261, 0.261, 0.261)

2.
Computed, not measured: NaF after structural relaxation at the r²SCAN level of DFT.

Properties
VASP energy = -0.46346 Ry/atom
ΔE_f = -2961 meV per atom

Cell lengths 3.233, 3.233, 3.233 Å; angles 60.00, 60.00, 60.00 degrees
Fractional positions:
F (0.500, 0.500, 0.500)
Na (0.000, 0.000, 0.000)

3.
Computed, not measured: Na11TiNb2Si4P2O25F after structural relaxation at the r²SCAN level of DFT.

Properties
VASP energy = -0.68959 Ry/atom
ΔE_f = -2705 meV per atom

Cell lengths 5.514, 7.169, 14.364 Å; angles 92.46, 95.43, 90.81 degrees
Fractional positions:
Na (0.290, 0.509, 0.264)
Na (0.194, 0.008, 0.866)
Na (0.999, 0.001, 0.500)
Na (0.806, 0.992, 0.134)
Na (0.245, 0.239, 0.080)
Na (0.818, 0.520, 0.100)
Na (0.183, 0.480, 0.900)
Na (0.755, 0.763, 0.920)
Na (0.498, 0.262, 0.496)
Na (0.488, 0.739, 0.499)
Na (0.710, 0.490, 0.736)
O (0.841, 0.699, 0.425)
O (0.468, 0.215, 0.720)
O (0.414, 0.242, 0.944)
O (0.234, 0.573, 0.108)
O (0.588, 0.758, 0.056)
O (0.320, 0.011, 0.408)
O (0.207, 0.505, 0.737)
O (0.574, 0.172, 0.256)
O (0.161, 0.710, 0.586)
O (0.171, 0.773, 0.968)
O (0.677, 0.985, 0.591)
O (0.767, 0.427, 0.893)
O (0.735, 0.497, 0.577)
O (0.945, 0.798, 0.747)
O (0.993, 0.180, 0.730)
O (0.750, 0.070, 0.872)
O (0.841, 0.291, 0.415)
O (0.797, 0.495, 0.263)
O (0.829, 0.227, 0.032)
O (0.058, 0.203, 0.254)
O (0.430, 0.827, 0.745)
O (0.164, 0.303, 0.574)
O (0.254, 0.931, 0.128)
O (0.533, 0.783, 0.280)
O (0.007, 0.821, 0.269)
P (0.313, 0.756, 0.065)
P (0.689, 0.244, 0.935)
Si (0.798, 0.706, 0.314)
Si (0.821, 0.282, 0.302)
Si (0.183, 0.718, 0.699)
Si (0.205, 0.294, 0.685)
Nb (0.701, 0.007, 0.716)
Nb (0.301, 0.992, 0.283)
Ti (0.973, 0.501, 0.508)
F (0.272, 0.502, 0.420)

4.
Computed, not measured: NaNdF4 after structural relaxation at the r²SCAN level of DFT.

Properties
VASP energy = -0.84914 Ry/atom
ΔE_f = -3972 meV per atom

Cell lengths 6.065, 7.081, 7.090 Å; angles 63.01, 64.77, 64.77 degrees
Fractional positions:
F (0.044, 0.818, 0.770)
F (0.590, 0.709, 0.662)
F (0.752, 0.243, 0.746)
F (0.974, 0.887, 0.385)
F (0.369, 0.541, 0.500)
F (0.037, 0.279, 0.313)
F (0.755, 0.733, 0.232)
F (0.983, 0.381, 0.884)
F (0.278, 0.129, 0.626)
F (0.259, 0.624, 0.129)
F (0.371, 0.007, 0.030)
F (0.594, 0.169, 0.198)
Nd (0.003, 0.999, 0.998)
Nd (0.336, 0.921, 0.409)
Nd (0.997, 0.498, 0.505)
Na (0.663, 0.003, 0.683)
Na (0.330, 0.426, 0.909)
Na (0.666, 0.483, 0.167)

5.
Computed, not measured: Na5Nd4Si4O16F after structural relaxation at the r²SCAN level of DFT.

Properties
VASP energy = -0.89220 Ry/atom
ΔE_f = -3163 meV per atom

Cell lengths 8.849, 8.849, 8.849 Å; angles 95.50, 95.50, 143.93 degrees
Fractional positions:
O (0.323, 0.351, 0.568)
O (0.575, 0.853, 0.490)
O (0.915, 0.425, 0.278)
O (0.245, 0.677, 0.029)
O (0.906, 0.677, 0.137)
O (0.725, 0.545, 0.748)
O (0.147, 0.637, 0.722)
O (0.797, 0.977, 0.252)
O (0.363, 0.085, 0.510)
O (0.023, 0.275, 0.820)
O (0.455, 0.203, 0.180)
O (0.323, 0.461, 0.229)
O (0.231, 0.094, 0.771)
O (0.649, 0.217, 0.971)
O (0.539, 0.769, 0.863)
O (0.783, 0.755, 0.432)
Na (0.588, 0.071, 0.693)
Na (0.105, 0.412, 0.483)
Na (0.500, 0.500, 0.000)
Na (0.929, 0.622, 0.517)
Na (0.378, 0.895, 0.307)
Si (0.611, 0.757, 0.349)
Si (0.738, 0.389, 0.146)
Si (0.243, 0.592, 0.854)
Si (0.408, 0.262, 0.651)
Nd (0.795, 0.862, 0.699)
Nd (0.163, 0.096, 0.301)
Nd (0.904, 0.205, 0.067)
Nd (0.138, 0.837, 0.933)
F (0.000, 0.000, 0.000)

6.
Computed, not measured: Na3NiF6 after structural relaxation at the r²SCAN level of DFT.

Properties
VASP energy = -0.49006 Ry/atom
ΔE_f = -2525 meV per atom
Offset from the most stable computed form = 97 meV per atom

Cell lengths 5.610, 5.610, 5.610 Å; angles 60.00, 60.00, 60.00 degrees
Fractional positions:
F (0.767, 0.767, 0.233)
F (0.233, 0.767, 0.233)
F (0.767, 0.233, 0.767)
F (0.233, 0.233, 0.767)
F (0.767, 0.233, 0.233)
F (0.233, 0.767, 0.767)
Na (0.750, 0.750, 0.750)
Na (0.500, 0.500, 0.500)
Na (0.250, 0.250, 0.250)
Ni (0.000, 0.000, 0.000)

7.
Computed, not measured: Na3NiF6 after structural relaxation at the r²SCAN level of DFT.

Properties
VASP energy = -0.49717 Ry/atom
ΔE_f = -2621 meV per atom
Offset from the most stable computed form = 0 meV per atom

Cell lengths 5.702, 5.360, 9.264 Å; angles 55.85, 90.00, 90.00 degrees
Fractional positions:
F (0.826, 0.679, 0.044)
F (0.944, 0.897, 0.221)
F (0.556, 0.897, 0.721)
F (0.283, 0.742, 0.079)
F (0.444, 0.103, 0.279)
F (0.326, 0.321, 0.456)
F (0.674, 0.679, 0.544)
F (0.717, 0.258, 0.921)
F (0.783, 0.258, 0.421)
F (0.056, 0.103, 0.779)
F (0.174, 0.321, 0.956)
F (0.217, 0.742, 0.579)
Na (0.436, 0.280, 0.744)
Na (0.936, 0.720, 0.756)
Na (0.000, 0.500, 0.500)
Na (0.500, 0.500, 0.000)
Na (0.564, 0.720, 0.256)
Na (0.064, 0.280, 0.244)
Ni (0.500, 0.000, 0.500)
Ni (0.000, 0.000, 0.000)

8.
Computed, not measured: Na2NiPO4F after structural relaxation at the r²SCAN level of DFT.

Properties
VASP energy = -0.62224 Ry/atom
ΔE_f = -2341 meV per atom

Cell lengths 5.153, 13.395, 13.657 Å; angles 59.43, 90.00, 90.00 degrees
Fractional positions:
F (0.504, 0.247, 0.500)
F (0.004, 0.753, 0.000)
F (0.996, 0.247, 0.000)
F (0.505, 0.747, 0.972)
F (0.496, 0.753, 0.500)
F (0.005, 0.253, 0.528)
F (0.495, 0.253, 0.028)
F (0.995, 0.747, 0.472)
P (0.206, 0.412, 0.662)
P (0.300, 0.912, 0.677)
P (0.800, 0.088, 0.823)
P (0.200, 0.912, 0.177)
P (0.700, 0.088, 0.323)
P (0.706, 0.588, 0.838)
P (0.794, 0.588, 0.338)
P (0.294, 0.412, 0.162)
O (0.264, 0.042, 0.121)
O (0.904, 0.893, 0.200)
O (0.714, 0.131, 0.902)
O (0.158, 0.846, 0.793)
O (0.842, 0.154, 0.207)
O (0.910, 0.394, 0.655)
O (0.658, 0.154, 0.707)
O (0.090, 0.606, 0.345)
O (0.850, 0.655, 0.888)
O (0.350, 0.345, 0.612)
O (0.410, 0.606, 0.845)
O (0.788, 0.632, 0.716)
O (0.342, 0.846, 0.293)
O (0.212, 0.368, 0.284)
O (0.286, 0.869, 0.098)
O (0.236, 0.042, 0.621)
O (0.590, 0.394, 0.155)
O (0.404, 0.107, 0.300)
O (0.096, 0.107, 0.800)
O (0.764, 0.958, 0.379)
O (0.712, 0.632, 0.216)
O (0.596, 0.893, 0.700)
O (0.150, 0.345, 0.112)
O (0.214, 0.869, 0.598)
O (0.228, 0.542, 0.089)
O (0.786, 0.131, 0.402)
O (0.272, 0.542, 0.589)
O (0.736, 0.958, 0.879)
O (0.728, 0.458, 0.411)
O (0.288, 0.368, 0.784)
O (0.772, 0.458, 0.911)
O (0.650, 0.655, 0.388)
Na (0.263, 0.671, 0.160)
Na (0.227, 0.918, 0.412)
Na (0.240, 0.418, 0.920)
Na (0.273, 0.918, 0.912)
Na (0.763, 0.830, 0.580)
Na (0.263, 0.170, 0.920)
Na (0.237, 0.671, 0.660)
Na (0.237, 0.170, 0.420)
Na (0.740, 0.582, 0.580)
Na (0.737, 0.830, 0.080)
Na (0.763, 0.329, 0.340)
Na (0.737, 0.329, 0.840)
Na (0.773, 0.082, 0.588)
Na (0.727, 0.082, 0.088)
Na (0.760, 0.582, 0.080)
Na (0.260, 0.418, 0.420)
Ni (0.279, 0.677, 0.425)
Ni (0.786, 0.823, 0.852)
Ni (0.286, 0.177, 0.648)
Ni (0.721, 0.323, 0.575)
Ni (0.779, 0.323, 0.075)
Ni (0.221, 0.677, 0.925)
Ni (0.214, 0.177, 0.148)
Ni (0.714, 0.823, 0.352)